Cu3AsF12 | PBE | relaxed

Computed properties:
* E: -4.13 eV/atom
* energy relative to the elements: -1980 meV/atom
* symmetry: No. 229

```
Cu3AsF12
1.0
0.2954 6.5209 -1.3278
-4.7074 -2.8234 -3.7738
-1.4807 -0.8912 6.4332
As F Cu
1 12 3
Direct
0.0000 0.0000 0.0000
0.2294 0.0000 0.2294
0.7500 0.5000 0.2500
0.7706 0.7706 0.0000
0.5000 0.7500 0.2500
0.2294 0.2294 0.0000
0.5000 0.2500 0.7500
0.0000 0.2294 0.2294
0.0000 0.7706 0.7706
0.7706 0.0000 0.7706
0.7500 0.2500 0.5000
0.2500 0.5000 0.7500
0.2500 0.7500 0.5000
0.5000 0.5000 0.0000
0.5000 0.0000 0.5000
0.0000 0.5000 0.5000
```